Entry 1:
# AlAgTe2

A relaxed structure of AlAgTe2 (r²SCAN, Materials Project).

Computed properties:
For the formation enthalpy at 0 K, the calculation gives -0.44 eV/atom. The theoretical density comes out at 5.3 g/cm3. The value obtained for the total magnetization is 0.0000 μB per atom.

Geometry as POSCAR:
```
AlAgTe2
1.0
-3.1759 3.1759 6.0741
3.1759 -3.1759 6.0741
3.1759 3.1759 -6.0741
Al Ag Te
2 2 4
Direct
0.0000 0.0000 0.0000 Al
0.7500 0.2500 0.5000 Al
0.2500 0.7500 0.5000 Ag
0.5000 0.5000 0.0000 Ag
0.1037 0.1250 0.4787 Te
0.3750 0.8963 0.0213 Te
0.6463 0.6250 0.5213 Te
0.8750 0.3537 0.9787 Te
```

***

Entry 2:
# Na2CrAuF6

A relaxed structure of Na2CrAuF6 (r²SCAN, Materials Project).

Computed properties:
For the formation enthalpy at 0 K, the calculation gives -2.31 eV/atom. The theoretical density comes out at 4.4 g/cm3. The value obtained for the total magnetization is 0.3000 μB per atom.

Geometry as POSCAR:
```
Na2CrAuF6
1.0
0.0000 4.2609 4.2609
4.2609 0.0000 4.2609
4.2609 4.2609 0.0000
Na Cr Au F
2 1 1 6
Direct
0.2500 0.2500 0.2500 Na
0.7500 0.7500 0.7500 Na
0.0000 0.0000 0.0000 Cr
0.5000 0.5000 0.5000 Au
0.2234 0.2234 0.7766 F
0.2234 0.7766 0.2234 F
0.2234 0.7766 0.7766 F
0.7766 0.2234 0.2234 F
0.7766 0.2234 0.7766 F
0.7766 0.7766 0.2234 F
```

***

Entry 3:
# SrEr2Se4

A relaxed structure of SrEr2Se4 (r²SCAN, Materials Project).

Computed properties:
For the formation enthalpy at 0 K, the calculation gives -2.25 eV/atom. The theoretical density comes out at 6.4 g/cm3. The value obtained for the total magnetization is 0.0000 μB per atom.

Geometry as POSCAR:
```
SrEr2Se4
1.0
12.5346 0.0000 0.0000
0.0000 4.1050 0.0000
0.0000 0.0000 14.8346
Sr Er Se
4 8 16
Direct
0.2406 0.2500 0.1652 Sr
0.2594 0.7500 0.6652 Sr
0.7406 0.2500 0.3348 Sr
0.7594 0.7500 0.8348 Sr
0.0621 0.2500 0.3892 Er
0.0826 0.2500 0.9018 Er
0.4174 0.7500 0.4018 Er
0.4379 0.7500 0.8892 Er
0.5621 0.2500 0.1108 Er
0.5826 0.2500 0.5982 Er
0.9174 0.7500 0.0982 Er
0.9379 0.7500 0.6108 Er
0.0271 0.7500 0.7843 Se
0.0896 0.2500 0.5766 Se
0.1282 0.7500 0.0298 Se
0.2052 0.7500 0.3303 Se
0.2948 0.2500 0.8303 Se
0.3718 0.2500 0.5298 Se
0.4104 0.7500 0.0766 Se
0.4729 0.2500 0.2843 Se
0.5271 0.7500 0.7157 Se
0.5896 0.2500 0.9234 Se
0.6282 0.7500 0.4702 Se
0.7052 0.7500 0.1697 Se
0.7948 0.2500 0.6697 Se
0.8718 0.2500 0.9702 Se
0.9104 0.7500 0.4234 Se
0.9729 0.2500 0.2157 Se
```

***

Entry 4:
# GdPd

A relaxed structure of GdPd (r²SCAN, Materials Project).

Computed properties:
For the formation enthalpy at 0 K, the calculation gives -0.85 eV/atom. The theoretical density comes out at 9.6 g/cm3. The value obtained for the total magnetization is 3.7195 μB per atom.

Geometry as POSCAR:
```
GdPd
1.0
1.8966 -5.3434 0.0000
1.8966 5.3434 0.0000
0.0000 0.0000 4.5177
Gd Pd
2 2
Direct
0.1380 0.8620 0.7500 Gd
0.8620 0.1380 0.2500 Gd
0.4144 0.5856 0.7500 Pd
0.5856 0.4144 0.2500 Pd
```

***

Entry 5:
# Pm2SiHg

A relaxed structure of Pm2SiHg (r²SCAN, Materials Project).

Computed properties:
For the formation enthalpy at 0 K, the calculation gives -0.55 eV/atom. The theoretical density comes out at 8.5 g/cm3. The value obtained for the total magnetization is 0.0000 μB per atom.

Geometry as POSCAR:
```
Pm2SiHg
1.0
0.0000 3.6988 3.6988
3.6988 0.0000 3.6988
3.6988 3.6988 0.0000
Pm Si Hg
2 1 1
Direct
0.2500 0.2500 0.2500 Pm
0.7500 0.7500 0.7500 Pm
0.0000 0.0000 0.0000 Si
0.5000 0.5000 0.5000 Hg
```

***

Entry 6:
# PmAlCu2

A relaxed structure of PmAlCu2 (r²SCAN, Materials Project).

Computed properties:
For the formation enthalpy at 0 K, the calculation gives -0.31 eV/atom. The theoretical density comes out at 7.1 g/cm3. The value obtained for the total magnetization is 0.0000 μB per atom.

Geometry as POSCAR:
```
PmAlCu2
1.0
0.0000 3.2658 3.2658
3.2658 0.0000 3.2658
3.2658 3.2658 0.0000
Pm Al Cu
1 1 2
Direct
0.0000 0.0000 0.0000 Pm
0.5000 0.5000 0.5000 Al
0.2500 0.2500 0.2500 Cu
0.7500 0.7500 0.7500 Cu
```

***

Entry 7:
# Nb3WSe8

A relaxed structure of Nb3WSe8 (r²SCAN, Materials Project).

Computed properties:
For the formation enthalpy at 0 K, the calculation gives -0.87 eV/atom. The theoretical density comes out at 6.6 g/cm3. The calculation puts the polymorph energy (0 for the lowest one) at 0.04 eV per formula unit. The value obtained for the total magnetization is 0.1999 μB per atom.

Geometry as POSCAR:
```
Nb3WSe8
1.0
13.3830 -1.7274 0.0000
13.3830 1.7274 0.0000
-0.4682 0.0000 5.9645
Nb W Se
3 1 8
Direct
0.0000 0.0000 0.0000 Nb
0.2501 0.2501 0.7395 Nb
0.4999 0.4999 0.4998 Nb
0.7501 0.7501 0.2584 W
0.0632 0.0632 0.3554 Se
0.1899 0.1899 0.0677 Se
0.3103 0.3103 0.1099 Se
0.4368 0.4368 0.8114 Se
0.5633 0.5633 0.8553 Se
0.6872 0.6872 0.5554 Se
0.8131 0.8131 0.5997 Se
0.9367 0.9367 0.3112 Se
```

***

Entry 8:
# CeCdPd

A relaxed structure of CeCdPd (r²SCAN, Materials Project).

Computed properties:
For the formation enthalpy at 0 K, the calculation gives -0.67 eV/atom. The theoretical density comes out at 8.5 g/cm3. The value obtained for the total magnetization is 0.4066 μB per atom.

Geometry as POSCAR:
```
CeCdPd
1.0
7.7326 0.0000 0.0000
-3.8663 6.6966 0.0000
0.0000 0.0000 4.0535
Ce Cd Pd
3 3 3
Direct
0.0000 0.4087 0.0000 Ce
0.4087 0.0000 0.0000 Ce
0.5913 0.5913 0.0000 Ce
0.0000 0.7508 0.5000 Cd
0.2492 0.2492 0.5000 Cd
0.7508 0.0000 0.5000 Cd
0.0000 0.0000 0.0000 Pd
0.3333 0.6667 0.5000 Pd
0.6667 0.3333 0.5000 Pd
```

***

The lowest theoretical density belongs to which entry? Na2CrAuF6

***

Look up the formation enthalpy at 0 K of the third one. -2.25 eV/atom

***

Which formula does entry 5 have? Pm2SiHg